1.
DFT (PBE) results for crystalline Ta4Zn2P6S3O36 at its relaxed geometry.

The calculated total energy is -7.49 eV per atom.

abc: 8.7580 8.7580 22.5497
angles: 90.00 90.00 120.00
With the nearest neighbours (Å) after each atom.
Element x y z (fractional)
Ta 0.0000 0.0000 0.0000  6 O 1.96-2.03
Ta 0.0000 0.0000 0.2110  6 O 1.96-1.97
Ta 0.0000 0.0000 0.5000  6 O 1.96-2.03
Ta 0.0000 0.0000 0.7110  6 O 1.96-1.97
Ta 0.3333 0.6667 0.1645  6 O 1.96-2.02
Ta 0.3333 0.6667 0.6645  6 O 1.96-2.02
Ta 0.6667 0.3333 0.3304  6 O 1.93-2.07
Ta 0.6667 0.3333 0.8304  6 O 1.93-2.07
Zn 0.3333 0.6667 0.3720  6 O 2.00-2.13
Zn 0.3333 0.6667 0.8720  6 O 2.00-2.13
Zn 0.6667 0.3333 0.0478  6 O 2.00-2.12
Zn 0.6667 0.3333 0.5478  6 O 2.00-2.12
P 0.0506 0.3818 0.2732  4 O 1.49-1.58
P 0.0506 0.6688 0.7732  4 O 1.49-1.58
P 0.2890 0.0028 0.6050  4 O 1.48-1.58
P 0.2890 0.2862 0.1050  4 O 1.48-1.58
P 0.3312 0.3818 0.7732  4 O 1.49-1.58
P 0.3312 0.9494 0.2732  4 O 1.49-1.58
P 0.6182 0.6688 0.2732  4 O 1.49-1.58
P 0.6182 0.9494 0.7732  4 O 1.49-1.58
P 0.7138 0.0028 0.1050  4 O 1.48-1.58
P 0.7138 0.7110 0.6050  4 O 1.48-1.58
P 0.9972 0.2862 0.6050  4 O 1.48-1.58
P 0.9972 0.7110 0.1050  4 O 1.48-1.58
S 0.3805 0.0428 0.9396  4 O 1.44-1.54
S 0.3805 0.3377 0.4396  4 O 1.44-1.54
S 0.6623 0.0428 0.4396  4 O 1.44-1.54
S 0.6623 0.6195 0.9396  4 O 1.44-1.54
S 0.9572 0.3377 0.9396  4 O 1.44-1.54
S 0.9572 0.6195 0.4396  4 O 1.44-1.54
O 0.0178 0.1940 0.2594  1 P 1.55
O 0.0178 0.8238 0.7594  1 P 1.55
O 0.0340 0.1977 0.5499  1 P 1.58
O 0.0340 0.8363 0.0499  1 P 1.58
O 0.1319 0.4844 0.9299  1 S 1.44
O 0.1323 0.4986 0.2172  1 P 1.56
O 0.1323 0.6337 0.7172  1 P 1.56
O 0.1319 0.6475 0.4299  1 S 1.44
O 0.1563 0.4510 0.3284  1 P 1.49
O 0.1563 0.7053 0.8284  1 P 1.49
O 0.1637 0.1977 0.0499  1 P 1.58
O 0.1637 0.9660 0.5499  1 P 1.58
O 0.1695 0.4667 0.6154  1 P 1.56
O 0.1695 0.7028 0.1154  1 P 1.56
O 0.1762 0.1940 0.7594  1 P 1.55
O 0.1762 0.9822 0.2594  1 P 1.55
O 0.1923 0.0218 0.6596  1 P 1.55
O 0.1923 0.1705 0.1596  1 P 1.55
O 0.2006 0.0320 0.9464  1 S 1.54
O 0.2006 0.1686 0.4464  1 S 1.54
O 0.2947 0.4510 0.8284  1 P 1.49
O 0.2947 0.8437 0.3284  1 P 1.49
O 0.2972 0.4667 0.1154  1 P 1.56
O 0.2972 0.8305 0.6154  1 P 1.56
O 0.3525 0.4844 0.4299  1 S 1.44
O 0.3525 0.8681 0.9299  1 S 1.44
O 0.3663 0.4986 0.7172  1 P 1.56
O 0.3663 0.8677 0.2172  1 P 1.56
O 0.4631 0.1607 0.8852  1 S 1.53
O 0.4631 0.3024 0.3852  1 S 1.53
O 0.4659 0.1597 0.5974  1 P 1.48
O 0.4659 0.3062 0.0974  1 P 1.48
O 0.4862 0.1264 0.9919  1 S 1.45
O 0.4862 0.3598 0.4919  1 S 1.45
O 0.4975 0.1393 0.2824  1 P 1.58
O 0.4975 0.3582 0.7824  1 P 1.58
O 0.5014 0.6337 0.2172  1 P 1.56
O 0.5014 0.8677 0.7172  1 P 1.56
O 0.5156 0.6475 0.9299  1 S 1.44
O 0.5156 0.8681 0.4299  1 S 1.44
O 0.5333 0.7028 0.6154  1 P 1.56
O 0.5333 0.8305 0.1154  1 P 1.56
O 0.5490 0.7053 0.3284  1 P 1.49
O 0.5490 0.8437 0.8284  1 P 1.49
O 0.6402 0.1264 0.4919  1 S 1.45
O 0.6402 0.5138 0.9919  1 S 1.45
O 0.6418 0.1393 0.7824  1 P 1.58
O 0.6418 0.5025 0.2824  1 P 1.58
O 0.6938 0.1597 0.0974  1 P 1.48
O 0.6938 0.5341 0.5974  1 P 1.48
O 0.6976 0.1607 0.3852  1 S 1.53
O 0.6976 0.5369 0.8852  1 S 1.53
O 0.8023 0.8363 0.5499  1 P 1.58
O 0.8023 0.9660 0.0499  1 P 1.58
O 0.8060 0.8238 0.2594  1 P 1.55
O 0.8060 0.9822 0.7594  1 P 1.55
O 0.8295 0.0218 0.1596  1 P 1.55
O 0.8295 0.8077 0.6596  1 P 1.55
O 0.8314 0.0320 0.4464  1 S 1.54
O 0.8314 0.7994 0.9464  1 S 1.54
O 0.8393 0.3024 0.8852  1 S 1.53
O 0.8393 0.5369 0.3852  1 S 1.53
O 0.8403 0.3062 0.5974  1 P 1.48
O 0.8403 0.5341 0.0974  1 P 1.48
O 0.8607 0.3582 0.2824  1 P 1.58
O 0.8607 0.5025 0.7824  1 P 1.58
O 0.8736 0.3598 0.9919  1 S 1.45
O 0.8736 0.5138 0.4919  1 S 1.45
O 0.9680 0.1686 0.9464  1 S 1.54
O 0.9680 0.7994 0.4464  1 S 1.54
O 0.9782 0.1705 0.6596  1 P 1.55
O 0.9782 0.8077 0.1596  1 P 1.55

2.
DFT (PBE) results for crystalline Ti3ZnP2S4O24 at its relaxed geometry.

The calculated total energy is -7.01 eV per atom.

abc: 8.6128 8.6296 22.2616
angles: 90.05 90.05 119.85
With the nearest neighbours (Å) after each atom.
Element x y z (fractional)
Ti 0.0000 0.0000 0.0000  6 O 1.89-2.05
Ti 0.0012 0.9892 0.5063  6 O 1.89-2.10
Ti 0.0056 0.9999 0.2926  6 O 1.88-1.99
Ti 0.0074 0.0056 0.7927  6 O 1.88-2.00
Ti 0.3273 0.6587 0.1713  6 O 1.85-2.07
Ti 0.3326 0.6559 0.6705  5 O 1.85-2.01
Ti 0.3356 0.6652 0.9530  6 O 1.87-2.05
Ti 0.6600 0.3347 0.8391  4 O 1.88-1.95
Ti 0.6857 0.3411 0.3384  4 O 1.83-2.03
Zn 0.3294 0.6645 0.4573  6 O 1.99-2.11
Zn 0.6635 0.3303 0.6282  6 O 1.97-2.08
Zn 0.6723 0.3289 0.1261  6 O 1.98-2.11
P 0.0040 0.7167 0.3973  4 O 1.49-1.58
P 0.2852 0.9984 0.8975  4 O 1.53-1.55
P 0.3812 0.3298 0.7298  4 O 1.49-1.58
P 0.7195 0.7168 0.8969  4 O 1.52-1.55
P 0.9538 0.3283 0.2298  4 O 1.50-1.58
P 0.9989 0.2834 0.8971  4 O 1.53-1.55
S 0.0437 0.3742 0.5630  4 O 1.44-1.53
S 0.0504 0.6676 0.0627  4 O 1.45-1.51
S 0.2906 0.2830 0.3968  4 O 1.45-1.50
S 0.3347 0.3793 0.0633  4 O 1.45-1.51
S 0.3386 0.9543 0.5633  4 O 1.44-1.54
S 0.3802 0.0439 0.2304  4 O 1.45-1.51
S 0.6192 0.9480 0.0631  4 O 1.46-1.50
S 0.6217 0.6642 0.5626  4 O 1.44-1.53
S 0.6681 0.0416 0.7303  4 O 1.45-1.50
S 0.6693 0.6225 0.2305  4 O 1.45-1.50
S 0.7171 0.9990 0.3970  4 O 1.44-1.51
S 0.9577 0.6230 0.7305  4 O 1.45-1.51
O 0.0219 0.8321 0.3418  1 P 1.55
O 0.0345 0.1960 0.5556  1 S 1.51
O 0.0355 0.1993 0.8421  1 P 1.53
O 0.0402 0.8338 0.0558  1 S 1.49
O 0.1225 0.4825 0.5095  1 S 1.46
O 0.1398 0.6434 0.0095  1 S 1.48
O 0.1410 0.6434 0.7223  1 S 1.51
O 0.1436 0.4983 0.2203  1 P 1.58
O 0.1633 0.6919 0.4021  1 P 1.49
O 0.1645 0.4611 0.6175  1 S 1.53
O 0.1650 0.4686 0.9088  1 P 1.55
O 0.1648 0.6964 0.1177  1 S 1.51
O 0.1674 0.9672 0.5557  1 S 1.54
O 0.1681 0.9638 0.8419  1 P 1.53
O 0.1692 0.2028 0.0562  1 S 1.49
O 0.1761 0.1956 0.3426  1 S 1.50
O 0.1917 0.1720 0.7435  1 P 1.55
O 0.1966 0.0154 0.2414  1 S 1.49
O 0.2006 0.0333 0.9535  1 P 1.55
O 0.2075 0.1693 0.4504  1 S 1.48
O 0.3016 0.8375 0.6170  1 S 1.49
O 0.3043 0.4646 0.1181  1 S 1.51
O 0.3078 0.8340 0.9084  1 P 1.54
O 0.3103 0.4591 0.4022  1 S 1.45
O 0.3583 0.4912 0.0099  1 S 1.48
O 0.3601 0.4994 0.7205  1 P 1.58
O 0.3605 0.8618 0.2220  1 S 1.51
O 0.3638 0.8754 0.5088  1 S 1.46
O 0.4471 0.1510 0.1761  1 S 1.45
O 0.4514 0.2907 0.6740  1 P 1.49
O 0.4663 0.2930 0.3864  1 S 1.49
O 0.4720 0.1625 0.8872  1 P 1.54
O 0.4874 0.1328 0.5713  1 S 1.44
O 0.4925 0.3613 0.0706  1 S 1.45
O 0.4940 0.1250 0.2837  1 S 1.47
O 0.5024 0.3654 0.7861  1 P 1.56
O 0.5052 0.8609 0.7218  1 S 1.50
O 0.5067 0.6425 0.2223  1 S 1.50
O 0.5080 0.8581 0.0092  1 S 1.49
O 0.5155 0.6380 0.5086  1 S 1.46
O 0.5311 0.6915 0.9082  1 P 1.55
O 0.5365 0.8354 0.1175  1 S 1.49
O 0.5380 0.6979 0.6169  1 S 1.51
O 0.5421 0.8428 0.4021  1 S 1.44
O 0.6335 0.5059 0.2837  1 S 1.49
O 0.6355 0.1242 0.7838  1 S 1.48
O 0.6365 0.1241 0.0680  1 S 1.46
O 0.6546 0.5174 0.5714  1 S 1.44
O 0.6998 0.5303 0.8874  1 P 1.55
O 0.7008 0.1639 0.3876  1 S 1.51
O 0.7055 0.5516 0.1763  1 S 1.45
O 0.7080 0.1495 0.6765  1 S 1.45
O 0.7983 0.9615 0.0555  1 S 1.50
O 0.8014 0.8324 0.8417  1 P 1.52
O 0.8020 0.8365 0.5559  1 S 1.53
O 0.8056 0.9782 0.3427  1 S 1.49
O 0.8234 0.0142 0.7417  1 S 1.49
O 0.8235 0.8040 0.2416  1 S 1.49
O 0.8278 0.5320 0.3867  1 P 1.58
O 0.8316 0.0366 0.4508  1 S 1.48
O 0.8354 0.3043 0.8854  1 P 1.53
O 0.8375 0.8010 0.9535  1 P 1.55
O 0.8425 0.2885 0.1742  1 P 1.50
O 0.8519 0.5515 0.6764  1 S 1.45
O 0.8671 0.3483 0.5739  1 S 1.44
O 0.8677 0.3662 0.2862  1 P 1.57
O 0.8740 0.5111 0.0688  1 S 1.45
O 0.8780 0.5074 0.7840  1 S 1.48
O 0.9663 0.1638 0.9532  1 P 1.55
O 0.9685 0.8036 0.4531  1 P 1.56
O 0.9827 0.8037 0.7414  1 S 1.48
O 0.9860 0.1727 0.2449  1 P 1.54

3.
DFT (PBE) results for crystalline YZrPS2O12 at its relaxed geometry.

The calculated total energy is -7.48 eV per atom.

abc: 9.1246 9.1246 23.4680
angles: 90.13 90.13 59.98
With the nearest neighbours (Å) after each atom.
Element x y z (fractional)
Y 0.0009 0.9991 0.5000  6 O 2.16-2.27
Y 0.3260 0.3288 0.3335  6 O 2.14-2.30
Y 0.3288 0.3260 0.8335  6 O 2.14-2.30
Y 0.6617 0.6746 0.6664  6 O 2.13-2.30
Y 0.6746 0.6617 0.1664  6 O 2.13-2.30
Y 0.9991 0.0009 0.0000  6 O 2.16-2.27
Zr 0.3162 0.3431 0.0468  5 O 2.01-2.20
Zr 0.3431 0.3162 0.5468  5 O 2.01-2.20
Zr 0.6624 0.6680 0.8796  6 O 2.05-2.19
Zr 0.6680 0.6624 0.3796  6 O 2.05-2.19
Zr 0.9990 0.9993 0.2136  6 O 2.05-2.18
Zr 0.9993 0.9990 0.7136  6 O 2.05-2.18
P 0.0089 0.7138 0.1081  4 O 1.51-1.58
P 0.0372 0.3465 0.9411  4 O 1.51-1.59
P 0.3465 0.0372 0.4411  4 O 1.51-1.59
P 0.3738 0.9430 0.7749  4 O 1.52-1.57
P 0.7138 0.0089 0.6081  4 O 1.51-1.58
P 0.9430 0.3738 0.2749  4 O 1.52-1.57
S 0.0104 0.2805 0.6092  4 O 1.46-1.50
S 0.0418 0.6122 0.4421  4 O 1.46-1.50
S 0.2792 0.7034 0.6082  4 O 1.46-1.50
S 0.2805 0.0104 0.1092  4 O 1.46-1.50
S 0.3453 0.6115 0.9417  4 O 1.46-1.50
S 0.3749 0.6765 0.2751  4 O 1.46-1.50
S 0.6122 0.0418 0.9421  4 O 1.46-1.50
S 0.6115 0.3453 0.4417  4 O 1.46-1.50
S 0.6765 0.3749 0.7751  4 O 1.46-1.50
S 0.6779 0.9466 0.2752  4 O 1.46-1.50
S 0.7034 0.2792 0.1082  4 O 1.46-1.50
S 0.9466 0.6779 0.7752  4 O 1.46-1.50
O 0.0099 0.1989 0.9530  1 P 1.51
O 0.0141 0.7832 0.4502  1 S 1.46
O 0.0340 0.8038 0.1612  1 P 1.57
O 0.0403 0.1697 0.6601  1 S 1.50
O 0.1183 0.5374 0.7842  1 S 1.46
O 0.1190 0.3474 0.2849  1 P 1.52
O 0.1239 0.5042 0.4929  1 S 1.49
O 0.1259 0.3753 0.9949  1 P 1.59
O 0.1461 0.5392 0.3913  1 S 1.46
O 0.1497 0.3150 0.8898  1 P 1.52
O 0.1658 0.2946 0.6015  1 S 1.50
O 0.1697 0.0403 0.1601  1 S 1.50
O 0.1712 0.7872 0.6594  1 S 1.50
O 0.1746 0.5365 0.0998  1 P 1.58
O 0.1984 0.9551 0.7650  1 P 1.57
O 0.1989 0.0099 0.4530  1 P 1.51
O 0.2015 0.7816 0.9500  1 S 1.46
O 0.2060 0.8106 0.5580  1 S 1.46
O 0.2058 0.8336 0.2680  1 S 1.50
O 0.2067 0.9808 0.0583  1 S 1.46
O 0.2865 0.5381 0.5996  1 S 1.49
O 0.2946 0.1658 0.1015  1 S 1.50
O 0.3150 0.1497 0.3898  1 P 1.52
O 0.3186 0.5353 0.8910  1 S 1.46
O 0.3474 0.1190 0.7849  1 P 1.52
O 0.3511 0.5319 0.2847  1 S 1.46
O 0.3715 0.5028 0.9928  1 S 1.50
O 0.3753 0.1259 0.4949  1 P 1.59
O 0.4485 0.8655 0.1188  1 S 1.46
O 0.4508 0.6735 0.6171  1 S 1.46
O 0.4572 0.7048 0.3261  1 S 1.50
O 0.4634 0.8276 0.8282  1 P 1.57
O 0.4775 0.6495 0.2244  1 S 1.46
O 0.4833 0.8612 0.7228  1 P 1.52
O 0.5028 0.3715 0.4928  1 S 1.50
O 0.5028 0.6226 0.9350  1 S 1.50
O 0.5042 0.1239 0.9929  1 S 1.49
O 0.5092 0.8628 0.4303  1 P 1.56
O 0.5319 0.3511 0.7847  1 S 1.46
O 0.5353 0.3186 0.3910  1 S 1.46
O 0.5374 0.1183 0.2842  1 S 1.46
O 0.5365 0.1746 0.5998  1 P 1.58
O 0.5381 0.2865 0.0996  1 S 1.49
O 0.5392 0.1461 0.8913  1 S 1.46
O 0.6226 0.5028 0.4350  1 S 1.50
O 0.6234 0.8734 0.9338  1 S 1.50
O 0.6434 0.8749 0.2248  1 S 1.46
O 0.6495 0.4775 0.7244  1 S 1.46
O 0.6735 0.4508 0.1171  1 S 1.46
O 0.6868 0.8598 0.6179  1 P 1.52
O 0.7044 0.8378 0.3262  1 S 1.50
O 0.7048 0.4572 0.8261  1 S 1.50
O 0.7816 0.2015 0.4500  1 S 1.46
O 0.7832 0.0141 0.9502  1 S 1.46
O 0.7872 0.1712 0.1594  1 S 1.50
O 0.8038 0.0340 0.6612  1 P 1.57
O 0.8106 0.2060 0.0580  1 S 1.46
O 0.8204 0.9839 0.5558  1 P 1.51
O 0.8276 0.4634 0.3282  1 P 1.57
O 0.8336 0.2058 0.7680  1 S 1.50
O 0.8363 0.9549 0.2675  1 S 1.50
O 0.8378 0.7044 0.8262  1 S 1.50
O 0.8598 0.6868 0.1179  1 P 1.52
O 0.8612 0.4833 0.2228  1 P 1.52
O 0.8628 0.5092 0.9303  1 P 1.56
O 0.8655 0.4485 0.6188  1 S 1.46
O 0.8734 0.6234 0.4338  1 S 1.50
O 0.8749 0.6434 0.7248  1 S 1.46
O 0.9551 0.1984 0.2650  1 P 1.57
O 0.9549 0.8363 0.7675  1 S 1.50
O 0.9808 0.2067 0.5583  1 S 1.46
O 0.9839 0.8204 0.0558  1 P 1.51

4.
DFT (PBE) results for crystalline Sb2P2O9 at its relaxed geometry.

The calculated total energy is -6.61 eV per atom.

abc: 14.6720 6.6371 8.4164
angles: 90.00 90.00 90.00
With the nearest neighbours (Å) after each atom.
Element x y z (fractional)
Sb 0.0000 0.0000 0.0000  6 O 2.22-2.34
Sb 0.0000 0.5000 0.0000  6 O 2.22-2.34
Sb 0.1211 0.2500 0.3610  6 O 1.95-2.07
Sb 0.3789 0.7500 0.8610  6 O 1.95-2.07
Sb 0.5000 0.0000 0.5000  6 O 2.22-2.34
Sb 0.5000 0.5000 0.5000  6 O 2.22-2.34
Sb 0.6211 0.2500 0.1390  6 O 1.95-2.07
Sb 0.8789 0.7500 0.6390  6 O 1.95-2.07
P 0.0605 0.7500 0.3627  4 O 1.54-1.57
P 0.1965 0.7500 0.8929  4 O 1.53-1.63
P 0.3035 0.2500 0.3929  4 O 1.53-1.63
P 0.4395 0.2500 0.8627  4 O 1.54-1.57
P 0.5605 0.7500 0.1373  4 O 1.54-1.57
P 0.6965 0.7500 0.6071  4 O 1.53-1.63
P 0.8035 0.2500 0.1071  4 O 1.53-1.63
P 0.9395 0.2500 0.6373  4 O 1.54-1.57
O 0.0134 0.2500 0.5068  1 P 1.54
O 0.0143 0.7500 0.1945  1 P 1.57
O 0.0499 0.2500 0.1659  1 Sb 1.95
O 0.1209 0.5607 0.3785  1 P 1.54
O 0.1209 0.9393 0.3785  1 P 1.54
O 0.1392 0.5585 0.9057  1 P 1.53
O 0.1392 0.9415 0.9057  1 P 1.53
O 0.2211 0.2500 0.5225  1 P 1.63
O 0.2407 0.2500 0.2380  1 P 1.60
O 0.2593 0.7500 0.7380  1 P 1.60
O 0.2789 0.7500 0.0225  1 P 1.63
O 0.3608 0.0585 0.4057  1 P 1.53
O 0.3608 0.4415 0.4057  1 P 1.53
O 0.3791 0.0607 0.8785  1 P 1.54
O 0.3791 0.4393 0.8785  1 P 1.54
O 0.4501 0.7500 0.6659  1 Sb 1.95
O 0.4857 0.2500 0.6945  1 P 1.57
O 0.4866 0.7500 0.0068  1 P 1.54
O 0.5134 0.2500 0.9932  1 P 1.54
O 0.5143 0.7500 0.3055  1 P 1.57
O 0.5499 0.2500 0.3341  1 Sb 1.95
O 0.6209 0.5607 0.1215  1 P 1.54
O 0.6209 0.9393 0.1215  1 P 1.54
O 0.6392 0.5585 0.5943  1 P 1.53
O 0.6392 0.9415 0.5943  1 P 1.53
O 0.7211 0.2500 0.9775  1 P 1.63
O 0.7407 0.2500 0.2620  1 P 1.60
O 0.7593 0.7500 0.7620  1 P 1.60
O 0.7789 0.7500 0.4775  1 P 1.63
O 0.8608 0.0585 0.0943  1 P 1.53
O 0.8608 0.4415 0.0943  1 P 1.53
O 0.8791 0.0607 0.6215  1 P 1.54
O 0.8791 0.4393 0.6215  1 P 1.54
O 0.9501 0.7500 0.8341  1 Sb 1.95
O 0.9857 0.2500 0.8055  1 P 1.57
O 0.9866 0.7500 0.4932  1 P 1.54